# PBE with a Hubbard U MnNb4O12, relaxed
# Mass density: 4.58 g cm⁻³
# DFT total energy: -583.93 eV per cell
data_MnNb4O12
_symmetry_space_group_name_H-M 'P 1'
_symmetry_Int_Tables_number 1
_cell_length_a 7.681
_cell_length_b 9.083
_cell_length_c 14.302
_cell_angle_alpha 77.91
_cell_angle_beta 98.73
_cell_angle_gamma 112.61
loop_
_symmetry_equiv_pos_as_xyz
'x,y,z'
loop_
_atom_site_label
_atom_site_type_symbol
_atom_site_fract_x
_atom_site_fract_y
_atom_site_fract_z
_atom_site_occupancy
O1 O 0.218 0.442 0.973 1
O2 O 0.718 0.192 0.223 1
O3 O 0.311 0.284 0.454 1
O4 O 0.950 0.193 0.884 1
O5 O 0.001 0.838 0.101 1
O6 O 0.811 0.534 0.204 1
O7 O 0.218 0.942 0.473 1
O8 O 0.528 0.419 0.816 1
O9 O 0.950 0.693 0.384 1
O10 O 0.437 0.769 0.637 1
O11 O 0.752 0.310 0.723 1
O12 O 0.901 0.331 0.393 1
O13 O 0.194 0.676 0.249 1
O14 O 0.989 0.423 0.089 1
O15 O 0.694 0.426 0.500 1
O16 O 0.718 0.692 0.723 1
O17 O 0.028 0.669 0.566 1
O18 O 0.901 0.831 0.893 1
O19 O 0.502 0.589 0.351 1
O20 O 0.191 0.978 0.259 1
O21 O 0.489 0.673 0.839 1
O22 O 0.401 0.580 0.144 1
O23 O 0.989 0.923 0.589 1
O24 O 0.175 0.780 0.754 1
O25 O 0.401 0.080 0.644 1
O26 O 0.175 0.280 0.254 1
O27 O 0.675 0.030 0.504 1
O28 O 0.692 0.728 0.509 1
O29 O 0.437 0.269 0.137 1
O30 O 0.450 0.444 0.634 1
O31 O 0.252 0.060 0.973 1
O32 O 0.311 0.784 0.954 1
O33 O 0.692 0.228 0.009 1
O34 O 0.252 0.560 0.473 1
O35 O 0.694 0.926 0.000 1
O36 O 0.502 0.089 0.851 1
O37 O 0.450 0.944 0.134 1
O38 O 0.028 0.169 0.066 1
O39 O 0.811 0.034 0.704 1
O40 O 0.194 0.176 0.749 1
O41 O 0.191 0.478 0.759 1
O42 O 0.675 0.530 0.004 1
O43 O 0.937 0.019 0.387 1
O44 O 0.001 0.338 0.601 1
O45 O 0.752 0.810 0.223 1
O46 O 0.528 0.919 0.316 1
O47 O 0.489 0.173 0.339 1
O48 O 0.937 0.519 0.887 1
Nb1 Nb 0.500 0.238 0.740 1
Nb2 Nb 0.736 0.389 0.123 1
Nb3 Nb 0.247 0.370 0.129 1
Nb4 Nb 0.736 0.889 0.623 1
Nb5 Nb 0.000 0.487 0.490 1
Nb6 Nb 0.509 0.008 0.993 1
Nb7 Nb 0.009 0.758 0.243 1
Nb8 Nb 0.236 0.139 0.373 1
Nb9 Nb 0.236 0.639 0.873 1
Nb10 Nb 0.247 0.870 0.629 1
Nb11 Nb 0.500 0.738 0.240 1
Nb12 Nb 0.747 0.120 0.379 1
Nb13 Nb 0.000 0.987 0.990 1
Nb14 Nb 0.509 0.508 0.493 1
Nb15 Nb 0.009 0.258 0.743 1
Nb16 Nb 0.747 0.620 0.879 1
Mn1 Mn 0.450 0.567 0.726 1
Mn2 Mn 0.450 0.067 0.226 1
Mn3 Mn 0.950 0.317 0.976 1
Mn4 Mn 0.950 0.817 0.476 1

# PBE with a Hubbard U Zn3Cr2O7, relaxed
# Symmetry: Cmc2_1
# Mass density: 5.58 g cm⁻³
# DFT total energy: -141.61 eV per cell
data_Zn3Cr2O7
_symmetry_space_group_name_H-M 'P 1'
_symmetry_Int_Tables_number 1
_cell_length_a 9.627
_cell_length_b 9.627
_cell_length_c 5.121
_cell_angle_alpha 90.00
_cell_angle_beta 90.00
_cell_angle_gamma 31.15
loop_
_symmetry_equiv_pos_as_xyz
'x,y,z'
loop_
_atom_site_label
_atom_site_type_symbol
_atom_site_fract_x
_atom_site_fract_y
_atom_site_fract_z
_atom_site_occupancy
Zn1 Zn 0.077 0.521 0.431 1
Zn2 Zn 0.239 0.761 0.500 1
Zn3 Zn 0.479 0.923 0.431 1
Zn4 Zn 0.521 0.077 0.931 1
Zn5 Zn 0.761 0.239 0.000 1
Zn6 Zn 0.923 0.479 0.931 1
Cr1 Cr 0.146 0.650 0.967 1
Cr2 Cr 0.350 0.854 0.967 1
Cr3 Cr 0.650 0.146 0.467 1
Cr4 Cr 0.854 0.350 0.467 1
O1 O 0.046 0.211 0.151 1
O2 O 0.138 0.862 0.893 1
O3 O 0.148 0.447 0.042 1
O4 O 0.211 0.046 0.651 1
O5 O 0.344 0.503 0.283 1
O6 O 0.447 0.148 0.542 1
O7 O 0.497 0.656 0.283 1
O8 O 0.503 0.344 0.783 1
O9 O 0.553 0.852 0.042 1
O10 O 0.656 0.497 0.783 1
O11 O 0.789 0.954 0.151 1
O12 O 0.852 0.553 0.542 1
O13 O 0.862 0.138 0.393 1
O14 O 0.954 0.789 0.651 1

# PBE with a Hubbard U UTl2Mo2O10, relaxed
# Symmetry: Pca2_1
# Mass density: 5.86 g cm⁻³
# DFT total energy: -863.90 eV per cell
data_UTl2Mo2O10
_symmetry_space_group_name_H-M 'P 1'
_symmetry_Int_Tables_number 1
_cell_length_a 11.160
_cell_length_b 14.244
_cell_length_c 14.238
_cell_angle_alpha 90.00
_cell_angle_beta 90.00
_cell_angle_gamma 90.00
loop_
_symmetry_equiv_pos_as_xyz
'x,y,z'
loop_
_atom_site_label
_atom_site_type_symbol
_atom_site_fract_x
_atom_site_fract_y
_atom_site_fract_z
_atom_site_occupancy
U1 U 0.156 0.238 0.000 1
U2 U 0.163 0.728 0.147 1
U3 U 0.337 0.728 0.647 1
U4 U 0.344 0.238 0.500 1
U5 U 0.656 0.762 0.000 1
U6 U 0.663 0.272 0.147 1
U7 U 0.837 0.272 0.647 1
U8 U 0.844 0.762 0.500 1
Tl1 Tl 0.008 0.572 0.691 1
Tl2 Tl 0.035 0.948 0.978 1
Tl3 Tl 0.224 0.555 0.421 1
Tl4 Tl 0.248 0.084 0.261 1
Tl5 Tl 0.252 0.084 0.761 1
Tl6 Tl 0.276 0.555 0.921 1
Tl7 Tl 0.465 0.948 0.478 1
Tl8 Tl 0.492 0.572 0.191 1
Tl9 Tl 0.508 0.428 0.691 1
Tl10 Tl 0.535 0.052 0.978 1
Tl11 Tl 0.724 0.445 0.421 1
Tl12 Tl 0.748 0.916 0.261 1
Tl13 Tl 0.752 0.916 0.761 1
Tl14 Tl 0.776 0.445 0.921 1
Tl15 Tl 0.965 0.052 0.478 1
Tl16 Tl 0.992 0.428 0.191 1
Mo1 Mo 0.051 0.337 0.424 1
Mo2 Mo 0.061 0.885 0.683 1
Mo3 Mo 0.151 0.818 0.405 1
Mo4 Mo 0.164 0.338 0.732 1
Mo5 Mo 0.336 0.338 0.232 1
Mo6 Mo 0.349 0.818 0.905 1
Mo7 Mo 0.439 0.885 0.183 1
Mo8 Mo 0.449 0.337 0.924 1
Mo9 Mo 0.551 0.663 0.424 1
Mo10 Mo 0.561 0.115 0.683 1
Mo11 Mo 0.651 0.182 0.405 1
Mo12 Mo 0.664 0.662 0.732 1
Mo13 Mo 0.836 0.662 0.232 1
Mo14 Mo 0.849 0.182 0.905 1
Mo15 Mo 0.939 0.115 0.183 1
Mo16 Mo 0.949 0.663 0.924 1
O1 O 0.002 0.144 0.927 1
O2 O 0.010 0.552 0.889 1
O3 O 0.012 0.940 0.788 1
O4 O 0.015 0.362 0.687 1
O5 O 0.041 0.328 0.019 1
O6 O 0.048 0.720 0.008 1
O7 O 0.066 0.271 0.320 1
O8 O 0.075 0.141 0.114 1
O9 O 0.094 0.844 0.161 1
O10 O 0.144 0.968 0.618 1
O11 O 0.153 0.267 0.837 1
O12 O 0.154 0.781 0.703 1
O13 O 0.155 0.724 0.318 1
O14 O 0.201 0.360 0.473 1
O15 O 0.217 0.775 0.512 1
O16 O 0.229 0.150 0.477 1
O17 O 0.229 0.612 0.130 1
O18 O 0.233 0.447 0.757 1
O19 O 0.235 0.915 0.368 1
O20 O 0.250 0.275 0.146 1
O21 O 0.250 0.275 0.646 1
O22 O 0.265 0.915 0.868 1
O23 O 0.267 0.447 0.257 1
O24 O 0.271 0.150 0.977 1
O25 O 0.271 0.612 0.630 1
O26 O 0.283 0.775 0.012 1
O27 O 0.299 0.360 0.973 1
O28 O 0.345 0.724 0.818 1
O29 O 0.346 0.781 0.203 1
O30 O 0.347 0.267 0.337 1
O31 O 0.356 0.968 0.118 1
O32 O 0.406 0.844 0.661 1
O33 O 0.425 0.141 0.614 1
O34 O 0.434 0.271 0.820 1
O35 O 0.452 0.720 0.508 1
O36 O 0.459 0.328 0.519 1
O37 O 0.485 0.362 0.187 1
O38 O 0.488 0.940 0.288 1
O39 O 0.490 0.552 0.389 1
O40 O 0.498 0.144 0.427 1
O41 O 0.502 0.856 0.927 1
O42 O 0.510 0.448 0.889 1
O43 O 0.512 0.060 0.788 1
O44 O 0.515 0.638 0.687 1
O45 O 0.541 0.672 0.019 1
O46 O 0.548 0.280 0.008 1
O47 O 0.566 0.729 0.320 1
O48 O 0.575 0.859 0.114 1
O49 O 0.594 0.156 0.161 1
O50 O 0.644 0.032 0.618 1
O51 O 0.653 0.733 0.837 1
O52 O 0.654 0.219 0.703 1
O53 O 0.655 0.276 0.318 1
O54 O 0.701 0.640 0.473 1
O55 O 0.717 0.225 0.512 1
O56 O 0.729 0.388 0.130 1
O57 O 0.729 0.850 0.477 1
O58 O 0.733 0.553 0.757 1
O59 O 0.735 0.085 0.368 1
O60 O 0.750 0.725 0.146 1
O61 O 0.750 0.725 0.646 1
O62 O 0.765 0.085 0.868 1
O63 O 0.767 0.553 0.257 1
O64 O 0.771 0.388 0.630 1
O65 O 0.771 0.850 0.977 1
O66 O 0.783 0.225 0.012 1
O67 O 0.799 0.640 0.973 1
O68 O 0.845 0.276 0.818 1
O69 O 0.846 0.219 0.203 1
O70 O 0.847 0.733 0.337 1
O71 O 0.856 0.032 0.118 1
O72 O 0.906 0.156 0.661 1
O73 O 0.925 0.859 0.614 1
O74 O 0.934 0.729 0.820 1
O75 O 0.952 0.280 0.508 1
O76 O 0.959 0.672 0.519 1
O77 O 0.985 0.638 0.187 1
O78 O 0.988 0.060 0.288 1
O79 O 0.990 0.448 0.389 1
O80 O 0.998 0.856 0.427 1

# PBE with a Hubbard U Co3BPO7, relaxed
# Symmetry: P1
# Mass density: 4.04 g cm⁻³
# Energy above the lowest structure with this stoichiometry: 0.000 eV/atom
data_Co3BPO7
_symmetry_space_group_name_H-M 'P 1'
_symmetry_Int_Tables_number 1
_cell_length_a 4.949
_cell_length_b 8.093
_cell_length_c 8.113
_cell_angle_alpha 105.15
_cell_angle_beta 107.73
_cell_angle_gamma 107.48
loop_
_symmetry_equiv_pos_as_xyz
'x,y,z'
loop_
_atom_site_label
_atom_site_type_symbol
_atom_site_fract_x
_atom_site_fract_y
_atom_site_fract_z
_atom_site_occupancy
Co1 Co 0.000 0.000 0.000 1
Co2 Co 0.000 0.278 0.721 1
Co3 Co 0.053 0.543 0.484 1
Co4 Co 0.057 0.763 0.263 1
Co5 Co 0.369 0.718 0.936 1
Co6 Co 0.370 0.215 0.440 1
B1 B 0.702 0.013 0.303 1
B2 B 0.702 0.582 0.736 1
P1 P 0.351 0.004 0.726 1
P2 P 0.362 0.461 0.182 1
O1 O 0.140 0.823 0.546 1
O2 O 0.150 0.085 0.805 1
O3 O 0.207 0.466 0.986 1
O4 O 0.208 0.265 0.188 1
O5 O 0.317 0.607 0.328 1
O6 O 0.398 0.548 0.713 1
O7 O 0.398 0.991 0.271 1
O8 O 0.557 0.154 0.678 1
O9 O 0.558 0.957 0.876 1
O10 O 0.715 0.513 0.234 1
O11 O 0.751 0.879 0.182 1
O12 O 0.752 0.461 0.603 1
O13 O 0.953 0.170 0.448 1
O14 O 0.953 0.728 0.891 1

# PBE with a Hubbard U Fe2CuO4, relaxed
# Symmetry: Imma
# Mass density: 5.16 g cm⁻³
# Energy above the lowest structure with this stoichiometry: 0.002 eV/atom
data_Fe2CuO4
_symmetry_space_group_name_H-M 'P 1'
_symmetry_Int_Tables_number 1
_cell_length_a 6.021
_cell_length_b 6.021
_cell_length_c 6.021
_cell_angle_alpha 120.46
_cell_angle_beta 119.84
_cell_angle_gamma 89.74
loop_
_symmetry_equiv_pos_as_xyz
'x,y,z'
loop_
_atom_site_label
_atom_site_type_symbol
_atom_site_fract_x
_atom_site_fract_y
_atom_site_fract_z
_atom_site_occupancy
Fe1 Fe 0.000 0.000 0.000 1
Fe2 Fe 0.500 0.000 0.000 1
Fe3 Fe 0.500 0.000 0.500 1
Fe4 Fe 0.500 0.500 0.500 1
Cu1 Cu 0.122 0.372 0.750 1
Cu2 Cu 0.878 0.628 0.250 1
O1 O 0.257 0.235 0.021 1
O2 O 0.259 0.241 0.482 1
O3 O 0.259 0.778 0.018 1
O4 O 0.286 0.765 0.521 1
O5 O 0.714 0.235 0.479 1
O6 O 0.741 0.222 0.982 1
O7 O 0.741 0.759 0.518 1
O8 O 0.743 0.765 0.979 1

# PBE with a Hubbard U Li9Mn2Co5O16, relaxed
# Symmetry: P1
# Mass density: 4.14 g cm⁻³
# Energy above the lowest structure with this stoichiometry: 0.078 eV/atom
data_Li9Mn2Co5O16
_symmetry_space_group_name_H-M 'P 1'
_symmetry_Int_Tables_number 1
_cell_length_a 3.012
_cell_length_b 9.899
_cell_length_c 10.242
_cell_angle_alpha 73.25
_cell_angle_beta 82.90
_cell_angle_gamma 86.87
loop_
_symmetry_equiv_pos_as_xyz
'x,y,z'
loop_
_atom_site_label
_atom_site_type_symbol
_atom_site_fract_x
_atom_site_fract_y
_atom_site_fract_z
_atom_site_occupancy
Li1 Li 0.000 0.000 0.000 1
Li2 Li 0.058 0.308 0.872 1
Li3 Li 0.119 0.618 0.742 1
Li4 Li 0.241 0.247 0.498 1
Li5 Li 0.377 0.871 0.245 1
Li6 Li 0.494 0.491 0.996 1
Li7 Li 0.624 0.126 0.747 1
Li8 Li 0.742 0.747 0.499 1
Li9 Li 0.875 0.368 0.244 1
Mn1 Mn 0.307 0.559 0.373 1
Mn2 Mn 0.560 0.809 0.871 1
Co1 Co 0.193 0.936 0.619 1
Co2 Co 0.437 0.190 0.112 1
Co3 Co 0.669 0.427 0.633 1
Co4 Co 0.815 0.058 0.370 1
Co5 Co 0.934 0.682 0.121 1
O1 O 0.122 0.962 0.801 1
O2 O 0.128 0.290 0.680 1
O3 O 0.238 0.581 0.556 1
O4 O 0.295 0.912 0.439 1
O5 O 0.333 0.207 0.297 1
O6 O 0.373 0.537 0.188 1
O7 O 0.494 0.829 0.057 1
O8 O 0.513 0.152 0.955 1
O9 O 0.605 0.465 0.789 1
O10 O 0.628 0.790 0.685 1
O11 O 0.743 0.409 0.446 1
O12 O 0.754 0.083 0.552 1
O13 O 0.867 0.036 0.189 1
O14 O 0.871 0.710 0.302 1
O15 O 0.981 0.328 0.063 1
O16 O 0.995 0.658 0.939 1

# PBE with a Hubbard U Al2FeO4, relaxed
# Symmetry: P3m1
# Mass density: 4.12 g cm⁻³
# Energy above the lowest structure with this stoichiometry: 0.066 eV/atom
data_Al2FeO4
_symmetry_space_group_name_H-M 'P 1'
_symmetry_Int_Tables_number 1
_cell_length_a 5.825
_cell_length_b 5.825
_cell_length_c 14.317
_cell_angle_alpha 90.00
_cell_angle_beta 90.00
_cell_angle_gamma 120.00
loop_
_symmetry_equiv_pos_as_xyz
'x,y,z'
loop_
_atom_site_label
_atom_site_type_symbol
_atom_site_fract_x
_atom_site_fract_y
_atom_site_fract_z
_atom_site_occupancy
Al1 Al 0.000 0.000 0.000 1
Al2 Al 0.000 0.000 0.378 1
Al3 Al 0.006 0.503 0.876 1
Al4 Al 0.169 0.338 0.543 1
Al5 Al 0.169 0.831 0.543 1
Al6 Al 0.333 0.667 0.709 1
Al7 Al 0.340 0.170 0.213 1
Al8 Al 0.497 0.503 0.876 1
Al9 Al 0.497 0.994 0.876 1
Al10 Al 0.662 0.831 0.543 1
Al11 Al 0.830 0.170 0.213 1
Al12 Al 0.830 0.660 0.213 1
Fe1 Fe 0.000 0.000 0.753 1
Fe2 Fe 0.333 0.667 0.088 1
Fe3 Fe 0.333 0.667 0.332 1
Fe4 Fe 0.667 0.333 0.047 1
Fe5 Fe 0.667 0.333 0.421 1
Fe6 Fe 0.667 0.333 0.670 1
O1 O 0.000 0.000 0.129 1
O2 O 0.000 0.000 0.613 1
O3 O 0.045 0.522 0.622 1
O4 O 0.143 0.285 0.290 1
O5 O 0.143 0.857 0.290 1
O6 O 0.188 0.376 0.798 1
O7 O 0.188 0.812 0.798 1
O8 O 0.292 0.146 0.468 1
O9 O 0.333 0.667 0.476 1
O10 O 0.333 0.667 0.946 1
O11 O 0.335 0.168 0.951 1
O12 O 0.478 0.522 0.622 1
O13 O 0.478 0.955 0.622 1
O14 O 0.511 0.021 0.146 1
O15 O 0.511 0.489 0.146 1
O16 O 0.624 0.812 0.798 1
O17 O 0.667 0.333 0.283 1
O18 O 0.667 0.333 0.815 1
O19 O 0.715 0.857 0.290 1
O20 O 0.832 0.168 0.951 1
O21 O 0.832 0.665 0.951 1
O22 O 0.854 0.146 0.468 1
O23 O 0.854 0.708 0.468 1
O24 O 0.979 0.489 0.146 1

# PBE with a Hubbard U FeSO8, relaxed
# Symmetry: P2_1/c
# Mass density: 1.59 g cm⁻³
# Energy above the lowest structure with this stoichiometry: 0.322 eV/atom
data_FeSO8
_symmetry_space_group_name_H-M 'P 1'
_symmetry_Int_Tables_number 1
_cell_length_a 6.639
_cell_length_b 13.645
_cell_length_c 11.773
_cell_angle_alpha 90.00
_cell_angle_beta 122.24
_cell_angle_gamma 90.00
loop_
_symmetry_equiv_pos_as_xyz
'x,y,z'
loop_
_atom_site_label
_atom_site_type_symbol
_atom_site_fract_x
_atom_site_fract_y
_atom_site_fract_z
_atom_site_occupancy
Fe1 Fe 0.186 0.118 0.310 1
Fe2 Fe 0.186 0.382 0.810 1
Fe3 Fe 0.814 0.618 0.190 1
Fe4 Fe 0.814 0.882 0.690 1
S1 S 0.230 0.609 0.627 1
S2 S 0.230 0.891 0.127 1
S3 S 0.770 0.109 0.873 1
S4 S 0.770 0.391 0.373 1
O1 O 0.026 0.069 0.368 1
O2 O 0.026 0.431 0.868 1
O3 O 0.074 0.205 0.199 1
O4 O 0.074 0.295 0.699 1
O5 O 0.163 0.147 0.568 1
O6 O 0.163 0.353 0.068 1
O7 O 0.167 0.546 0.701 1
O8 O 0.167 0.954 0.201 1
O9 O 0.245 0.712 0.649 1
O10 O 0.245 0.788 0.149 1
O11 O 0.256 0.093 0.665 1
O12 O 0.256 0.407 0.165 1
O13 O 0.275 0.566 0.531 1
O14 O 0.275 0.934 0.031 1
O15 O 0.473 0.112 0.403 1
O16 O 0.473 0.388 0.903 1
O17 O 0.527 0.612 0.097 1
O18 O 0.527 0.888 0.597 1
O19 O 0.725 0.066 0.969 1
O20 O 0.725 0.434 0.469 1
O21 O 0.744 0.593 0.835 1
O22 O 0.744 0.907 0.335 1
O23 O 0.755 0.212 0.851 1
O24 O 0.755 0.288 0.351 1
O25 O 0.833 0.046 0.799 1
O26 O 0.833 0.454 0.299 1
O27 O 0.837 0.647 0.932 1
O28 O 0.837 0.853 0.432 1
O29 O 0.926 0.705 0.301 1
O30 O 0.926 0.795 0.801 1
O31 O 0.974 0.569 0.132 1
O32 O 0.974 0.931 0.632 1

# PBE with a Hubbard U CaV2O4, relaxed
# Symmetry: I4_1/amd
# Mass density: 3.87 g cm⁻³
# Energy above the lowest structure with this stoichiometry: 0.029 eV/atom
data_CaV2O4
_symmetry_space_group_name_H-M 'P 1'
_symmetry_Int_Tables_number 1
_cell_length_a 6.371
_cell_length_b 6.371
_cell_length_c 6.371
_cell_angle_alpha 122.03
_cell_angle_beta 122.03
_cell_angle_gamma 86.52
loop_
_symmetry_equiv_pos_as_xyz
'x,y,z'
loop_
_atom_site_label
_atom_site_type_symbol
_atom_site_fract_x
_atom_site_fract_y
_atom_site_fract_z
_atom_site_occupancy
Ca1 Ca 0.375 0.625 0.750 1
Ca2 Ca 0.625 0.375 0.250 1
V1 V 0.000 0.000 0.000 1
V2 V 0.000 0.000 0.500 1
V3 V 0.000 0.500 0.000 1
V4 V 0.500 0.000 0.500 1
O1 O 0.197 0.229 0.967 1
O2 O 0.229 0.197 0.467 1
O3 O 0.229 0.762 0.033 1
O4 O 0.238 0.771 0.467 1
O5 O 0.762 0.229 0.533 1
O6 O 0.771 0.238 0.967 1
O7 O 0.771 0.803 0.533 1
O8 O 0.803 0.771 0.033 1

no.,total magnetic moment (μB/f.u.)
1,0.0
2,4.0
3,0.0
4,0.0
5,9.0
6,16.0
7,4.0
8,4.0
9,4.0